Material: Na2Sc2P4H12C4O13
Method: DFT, PBE
State: relaxed

**Size of the total moment**: 1.73 μB per formula unit
**Symmetry**: P4_2/n (86)
**E (MP2020)**: -960.60 eV per cell
**V**: 12.02 A^3/atom
**Formation enthalpy at 0 K**: -5908 kJ/mol of formula units

a = 18.0603 Å, b = 18.0603 Å, c = 5.4553 Å
α = 90.00°, β = 90.00°, γ = 90.00°
Last column: nearest neighbours and their distance in Å.
Fractional coordinates of all 148 atoms:
C  0.2033  0.4677  0.7193  3 H 1.09-1.10
Na  0.8796  0.2836  0.2400  4 O 2.42-2.60
Sc  0.4188  0.9035  0.2430  6 O 2.07-2.15
O  0.5066  0.8960  0.4846  1 P 1.54
O  0.9934  0.6040  0.4846  1 P 1.54
O  0.6040  0.5066  0.0154  1 P 1.54
H  0.4411  0.3099  0.6057  1 C 1.09
C  0.9677  0.7967  0.2193  3 H 1.09-1.10
H  0.8332  0.8555  0.9233  1 C 1.10
O  0.9861  0.3830  0.0601  1 P 1.54
O  0.6754  0.0898  0.9916  1 P 1.54
O  0.8830  0.0139  0.5601  1 P 1.54
O  0.8246  0.4102  0.9916  1 P 1.54
H  0.1901  0.4411  0.8943  1 C 1.09
C  0.1613  0.1178  0.2563  3 H 1.10
H  0.9495  0.7420  0.1568  1 C 1.10
O  0.6577  0.1013  0.4556  1 P 1.55
H  0.1445  0.3332  0.4233  1 C 1.10
O  0.8960  0.9934  0.0154  1 P 1.54
O  0.8423  0.3987  0.4556  1 P 1.55
H  0.0505  0.2580  0.8432  1 C 1.10
O  0.4102  0.6754  0.5084  1 P 1.54
O  0.1577  0.6013  0.5444  1 P 1.55
P  0.4579  0.0951  0.2600  3 O 1.53-1.54
O  0.5179  0.5757  0.7216  1 P 1.53
O  0.5139  0.1170  0.0601  1 P 1.54
H  0.8391  0.5473  0.4155  1 C 1.10
O  0.4934  0.1040  0.5154  1 P 1.54
C  0.6613  0.6178  0.7437  3 H 1.10
H  0.4527  0.3391  0.9155  1 C 1.10
Sc  0.9188  0.4035  0.7570  6 O 2.07-2.15
H  0.8555  0.6668  0.5767  1 C 1.10
H  0.8560  0.8406  0.6090  1 C 1.10
C  0.3822  0.1613  0.2437  3 H 1.10
H  0.1609  0.4527  0.5845  1 C 1.10
C  0.7967  0.5323  0.2807  3 H 1.09-1.10
C  0.3387  0.3822  0.2563  3 H 1.10
P  0.9049  0.9579  0.7600  3 O 1.53-1.54
O  0.3960  0.4934  0.9846  1 P 1.54
Na  0.3796  0.7836  0.7600  4 O 2.42-2.60
P  0.0421  0.4049  0.2600  3 O 1.53-1.54
H  0.3555  0.1668  0.4233  1 C 1.10
O  0.4243  0.0179  0.2216  1 P 1.53
O  0.2854  0.5949  0.7294  1 P 1.55
H  0.8406  0.6440  0.8910  1 C 1.10
H  0.6594  0.8560  0.8910  1 C 1.10
H  0.1440  0.1594  0.3910  1 C 1.10
O  0.2500  0.7500  0.2704  2 Na 2.42
O  0.5949  0.2146  0.7706  1 P 1.55
H  0.3391  0.0473  0.5845  1 C 1.10
O  0.1040  0.0066  0.9846  1 P 1.54
O  0.9102  0.1754  0.4916  1 P 1.54
Na  0.1204  0.7164  0.7600  4 O 2.42-2.60
O  0.4051  0.7854  0.2294  1 P 1.55
H  0.6901  0.9411  0.1057  1 C 1.09
O  0.0179  0.0757  0.2784  1 P 1.53
O  0.3987  0.6577  0.0444  1 P 1.55
C  0.8822  0.6613  0.7563  3 H 1.10
Na  0.2836  0.6204  0.2600  4 O 2.42-2.60
C  0.8387  0.8822  0.7437  3 H 1.10
H  0.4495  0.2420  0.8432  1 C 1.10
H  0.1668  0.1445  0.0767  1 C 1.10
P  0.2047  0.5674  0.7530  3 O 1.54-1.55
H  0.5960  0.7847  0.8119  1 C 1.10
P  0.0951  0.0421  0.2400  3 O 1.53-1.54
Na  0.7164  0.3796  0.7400  4 O 2.42-2.60
O  0.6013  0.3423  0.9556  1 P 1.55
P  0.5951  0.5421  0.7600  3 O 1.53-1.54
H  0.6445  0.8332  0.5767  1 C 1.10
H  0.8099  0.5589  0.1057  1 C 1.09
O  0.1013  0.8423  0.0444  1 P 1.55
H  0.6609  0.9527  0.4155  1 C 1.10
Sc  0.4035  0.5812  0.7430  6 O 2.07-2.15
O  0.3830  0.5139  0.4399  1 P 1.54
C  0.0323  0.2033  0.7807  3 H 1.09-1.10
C  0.7033  0.9677  0.2807  3 H 1.09-1.10
H  0.5505  0.7580  0.1568  1 C 1.10
H  0.3332  0.3555  0.0767  1 C 1.10
P  0.7047  0.0674  0.2470  3 O 1.54-1.55
C  0.2967  0.0323  0.7193  3 H 1.09-1.10
O  0.5757  0.9821  0.7784  1 P 1.53
C  0.6178  0.8387  0.7563  3 H 1.10
O  0.1754  0.5898  0.0084  1 P 1.54
O  0.3423  0.8987  0.5444  1 P 1.55
C  0.1178  0.3387  0.2437  3 H 1.10
H  0.3560  0.3406  0.3910  1 C 1.10
H  0.2847  0.4040  0.3119  1 C 1.10
P  0.4326  0.7047  0.2530  3 O 1.54-1.55
O  0.3246  0.9102  0.0084  1 P 1.54
O  0.9821  0.9243  0.7216  1 P 1.53
O  0.8987  0.1577  0.9556  1 P 1.55
H  0.9411  0.8099  0.3943  1 C 1.09
O  0.9051  0.2854  0.7706  1 P 1.55
Sc  0.5965  0.4188  0.2570  6 O 2.07-2.15
P  0.0674  0.7953  0.2530  3 O 1.54-1.55
H  0.3099  0.0589  0.8943  1 C 1.09
H  0.9527  0.8391  0.0845  1 C 1.10
P  0.2953  0.9326  0.7530  3 O 1.54-1.55
H  0.6668  0.6445  0.9233  1 C 1.10
Na  0.6204  0.2164  0.2400  4 O 2.42-2.60
H  0.0960  0.2847  0.1881  1 C 1.10
O  0.4861  0.8830  0.9399  1 P 1.54
O  0.0066  0.3960  0.5154  1 P 1.54
H  0.5589  0.6901  0.3943  1 C 1.09
O  0.2500  0.7500  0.7704  2 Na 2.42
C  0.4677  0.2967  0.7807  3 H 1.09-1.10
Sc  0.0812  0.5965  0.2430  6 O 2.07-2.15
Sc  0.0965  0.9188  0.7430  6 O 2.07-2.15
P  0.4049  0.4579  0.2400  3 O 1.53-1.54
C  0.5323  0.7033  0.2193  3 H 1.09-1.10
H  0.7153  0.5960  0.6881  1 C 1.10
H  0.3406  0.1440  0.1090  1 C 1.10
O  0.7500  0.2500  0.2296  2 Na 2.42
O  0.7146  0.4051  0.2706  1 P 1.55
O  0.9243  0.5179  0.7784  1 P 1.53
Na  0.7836  0.1204  0.7400  4 O 2.42-2.60
P  0.9326  0.2047  0.7470  3 O 1.54-1.55
H  0.0473  0.1609  0.9155  1 C 1.10
H  0.7420  0.5505  0.3432  1 C 1.10
O  0.7500  0.2500  0.7296  2 Na 2.42
H  0.4040  0.2153  0.1881  1 C 1.10
H  0.9040  0.7153  0.8119  1 C 1.10
O  0.0898  0.8246  0.5084  1 P 1.54
O  0.1170  0.9861  0.4399  1 P 1.54
O  0.0757  0.4821  0.2216  1 P 1.53
P  0.5421  0.9049  0.7400  3 O 1.53-1.54
H  0.2580  0.4495  0.6568  1 C 1.10
H  0.7847  0.9040  0.6881  1 C 1.10
H  0.1594  0.3560  0.1090  1 C 1.10
O  0.0139  0.6170  0.9399  1 P 1.54
O  0.6170  0.4861  0.5601  1 P 1.54
H  0.2153  0.0960  0.3119  1 C 1.10
P  0.9579  0.5951  0.7400  3 O 1.53-1.54
Sc  0.5812  0.0965  0.7570  6 O 2.07-2.15
O  0.0949  0.7146  0.2294  1 P 1.55
H  0.5473  0.6609  0.0845  1 C 1.10
O  0.5898  0.3246  0.4916  1 P 1.54
H  0.6440  0.6594  0.6090  1 C 1.10
P  0.7953  0.4326  0.2470  3 O 1.54-1.55
P  0.5674  0.2953  0.7470  3 O 1.54-1.55
Na  0.2164  0.8796  0.2600  4 O 2.42-2.60
O  0.7854  0.0949  0.2706  1 P 1.55
H  0.2420  0.0505  0.6568  1 C 1.10
H  0.0589  0.1901  0.6057  1 C 1.09
O  0.2146  0.9051  0.7294  1 P 1.55
Sc  0.9035  0.0812  0.2570  6 O 2.07-2.15
O  0.4821  0.4243  0.2784  1 P 1.53
H  0.7580  0.9495  0.3432  1 C 1.10